Entry 1:
SrF2 | PBE-GGA | relaxed

## Properties
**E (MP2020)**: -18.210 eV for the cell shown
**Total energy**: -17.3 eV/cell
**Space group**: Fm-3m

Structure (CIF):
```
data_SrF2
_cell_length_a 4.148
_cell_length_b 4.148
_cell_length_c 4.148
_cell_angle_alpha 60.00
_cell_angle_beta 60.00
_cell_angle_gamma 60.00
_symmetry_space_group_name_H-M 'P 1'
_symmetry_Int_Tables_number 1
loop_
_symmetry_equiv_pos_as_xyz
'x,y,z'
loop_
_atom_site_label
_atom_site_type_symbol
_atom_site_fract_x
_atom_site_fract_y
_atom_site_fract_z
Sr1 Sr 0.000 0.000 0.000
F1 F 0.250 0.250 0.250
F2 F 0.750 0.750 0.750
```


Entry 2:
SrF2 | PBE-GGA | relaxed

## Properties
**E (MP2020)**: -72.066 eV for the cell shown
**Total energy**: -68.4 eV/cell
**Spin magnetization**: 0.000 μB per atom
**Space group**: Pnma

Structure (CIF):
```
data_SrF2
_cell_length_a 4.069
_cell_length_b 4.426
_cell_length_c 12.258
_cell_angle_alpha 90.00
_cell_angle_beta 90.00
_cell_angle_gamma 90.00
_symmetry_space_group_name_H-M 'P 1'
_symmetry_Int_Tables_number 1
loop_
_symmetry_equiv_pos_as_xyz
'x,y,z'
loop_
_atom_site_label
_atom_site_type_symbol
_atom_site_fract_x
_atom_site_fract_y
_atom_site_fract_z
F1 F 0.750 0.064 0.271
F2 F 0.250 0.564 0.229
F3 F 0.750 0.436 0.771
F4 F 0.250 0.796 0.962
F5 F 0.750 0.204 0.038
F6 F 0.250 0.704 0.462
F7 F 0.250 0.936 0.729
F8 F 0.750 0.296 0.538
Sr1 Sr 0.250 0.433 0.637
Sr2 Sr 0.250 0.067 0.137
Sr3 Sr 0.750 0.567 0.363
Sr4 Sr 0.750 0.933 0.863
```


Entry 3:
SrF2 | PBE-GGA | relaxed

## Properties
**E (MP2020)**: -35.394 eV for the cell shown
**Total energy**: -33.5 eV/cell
**Spin magnetization**: 0.000 μB per atom
**Space group**: P6_3/mmc

Structure (CIF):
```
data_SrF2
_cell_length_a 4.152
_cell_length_b 4.152
_cell_length_c 5.871
_cell_angle_alpha 90.00
_cell_angle_beta 90.00
_cell_angle_gamma 120.00
_symmetry_space_group_name_H-M 'P 1'
_symmetry_Int_Tables_number 1
loop_
_symmetry_equiv_pos_as_xyz
'x,y,z'
loop_
_atom_site_label
_atom_site_type_symbol
_atom_site_fract_x
_atom_site_fract_y
_atom_site_fract_z
Sr1 Sr 0.667 0.333 0.750
Sr2 Sr 0.333 0.667 0.250
F1 F 0.667 0.333 0.250
F2 F 0.333 0.667 0.750
F3 F 0.000 0.000 0.000
F4 F 0.000 0.000 0.500
```


Entry 4:
SrTaF7 | PBE-GGA | relaxed

## Properties
**E (MP2020)**: -123.284 eV for the cell shown
**Total energy**: -116.8 eV/cell
**Space group**: P2_1/m

Structure (CIF):
```
data_SrTaF7
_cell_length_a 7.333
_cell_length_b 4.970
_cell_length_c 6.828
_cell_angle_alpha 85.47
_cell_angle_beta 90.00
_cell_angle_gamma 90.00
_symmetry_space_group_name_H-M 'P 1'
_symmetry_Int_Tables_number 1
loop_
_symmetry_equiv_pos_as_xyz
'x,y,z'
loop_
_atom_site_label
_atom_site_type_symbol
_atom_site_fract_x
_atom_site_fract_y
_atom_site_fract_z
F1 F 0.250 0.173 0.046
F2 F 0.750 0.348 0.047
F3 F 0.577 0.808 0.641
F4 F 0.473 0.674 0.218
F5 F 0.750 0.827 0.954
F6 F 0.423 0.192 0.359
F7 F 0.527 0.326 0.782
F8 F 0.250 0.581 0.495
F9 F 0.973 0.326 0.782
F10 F 0.077 0.192 0.359
F11 F 0.250 0.652 0.953
F12 F 0.750 0.419 0.505
F13 F 0.027 0.674 0.218
F14 F 0.923 0.808 0.641
Sr1 Sr 0.750 0.972 0.315
Sr2 Sr 0.250 0.028 0.685
Ta1 Ta 0.750 0.536 0.779
Ta2 Ta 0.250 0.464 0.221
```


Entry 5:
SrZnF4 | PBE-GGA | relaxed

## Properties
**E (MP2020)**: -62.211 eV for the cell shown
**Total energy**: -58.5 eV/cell
**Space group**: I4_1/a

Structure (CIF):
```
data_SrZnF4
_cell_length_a 5.536
_cell_length_b 5.536
_cell_length_c 7.108
_cell_angle_alpha 112.92
_cell_angle_beta 112.92
_cell_angle_gamma 90.00
_symmetry_space_group_name_H-M 'P 1'
_symmetry_Int_Tables_number 1
loop_
_symmetry_equiv_pos_as_xyz
'x,y,z'
loop_
_atom_site_label
_atom_site_type_symbol
_atom_site_fract_x
_atom_site_fract_y
_atom_site_fract_z
Zn1 Zn 0.750 0.250 0.500
Zn2 Zn 0.500 0.500 0.000
F1 F 0.672 0.076 0.667
F2 F 0.995 0.591 0.667
F3 F 0.924 0.005 0.333
F4 F 0.409 0.328 0.333
F5 F 0.326 0.745 0.167
F6 F 0.841 0.422 0.167
F7 F 0.578 0.674 0.833
F8 F 0.255 0.159 0.833
Sr1 Sr 0.000 0.000 0.000
Sr2 Sr 0.250 0.750 0.500
```


Entry 6:
SrZnF2 | PBE-GGA | relaxed

## Properties
**E (MP2020)**: -71.021 eV for the cell shown
**Total energy**: -67.3 eV/cell
**Spin magnetization**: 0.000 μB per atom
**Space group**: I4_1/amd

Structure (CIF):
```
data_SrZnF2
_cell_length_a 7.889
_cell_length_b 7.889
_cell_length_c 7.934
_cell_angle_alpha 119.81
_cell_angle_beta 119.81
_cell_angle_gamma 90.00
_symmetry_space_group_name_H-M 'P 1'
_symmetry_Int_Tables_number 1
loop_
_symmetry_equiv_pos_as_xyz
'x,y,z'
loop_
_atom_site_label
_atom_site_type_symbol
_atom_site_fract_x
_atom_site_fract_y
_atom_site_fract_z
Sr1 Sr 0.625 0.375 0.250
Sr2 Sr 0.625 0.875 0.250
Sr3 Sr 0.625 0.375 0.750
Sr4 Sr 0.125 0.375 0.750
Zn1 Zn 0.625 0.875 0.750
Zn2 Zn 0.125 0.375 0.250
Zn3 Zn 0.125 0.875 0.750
Zn4 Zn 0.125 0.875 0.250
F1 F 0.845 0.159 0.318
F2 F 0.405 0.591 0.182
F3 F 0.473 0.159 0.318
F4 F 0.841 0.155 0.682
F5 F 0.777 0.591 0.182
F6 F 0.409 0.223 0.818
F7 F 0.409 0.595 0.818
F8 F 0.841 0.527 0.682
```